Entry 1:
Below is an optimized crystal structure of CrCoPt2, with properties calculated at the GGA-PBE level.

Cell: 8.839 8.839 8.839 Å, 17.57 17.57 17.57°
Positions (direct):
Pt 0.493 0.493 0.493
Pt 0.256 0.256 0.256
Cr 0.745 0.745 0.745
Co 0.006 0.006 0.006

The total energy is -28.73 eV per formula unit. Its theoretical density is 15.15 Mg/m³. The value obtained for the distance to the lowest polymorph of the same formula is 180 meV per atom. The calculation puts the formation energy at 44 meV per atom.

=====

Entry 2:
Below is an optimized crystal structure of Nd4Si7, with properties calculated at the GGA-PBE level.

Cell: 4.109 4.240 13.816 Å, 90.00 90.00 90.00°
Positions (direct):
Si 0.000 0.500 0.789
Nd 0.500 0.000 0.874
Si 0.000 0.000 0.040
Nd 0.000 0.000 0.627
Si 0.000 0.000 0.209
Si 0.500 0.000 0.463
Si 0.500 0.500 0.697
Nd 0.000 0.500 0.373
Si 0.000 0.500 0.960
Nd 0.500 0.500 0.126
Si 0.500 0.000 0.296

The total energy is -63.79 eV per formula unit. Its theoretical density is 5.34 Mg/m³. The value obtained for the distance to the lowest polymorph of the same formula is 0 meV per atom. The calculation puts the formation energy at -568 meV per atom.

=====

Entry 3:
Below is an optimized crystal structure of NdAlPt, with properties calculated at the GGA-PBE level.

Cell: 4.503 7.170 7.881 Å, 90.00 90.00 90.00°
Positions (direct):
Al 0.250 0.146 0.067
Pt 0.750 0.718 0.611
Nd 0.250 0.029 0.682
Pt 0.250 0.782 0.111
Pt 0.750 0.218 0.889
Nd 0.750 0.471 0.182
Nd 0.250 0.529 0.818
Nd 0.750 0.971 0.318
Al 0.750 0.854 0.933
Al 0.750 0.354 0.567
Al 0.250 0.646 0.433
Pt 0.250 0.282 0.389

The total energy is -17.75 eV per formula unit. Its theoretical density is 9.56 Mg/m³. The calculation puts the formation energy at -1054 meV per atom.